This record from the Materials Project database describes a relaxed PdPb2Se2Cl2O6 crystal. The functional is PBE.

- Energy with MP2020 corrections: -69.3 eV per formula unit
- V: 499.58 Å³/cell
- ΔE_f: -1.255 eV per atom

Cell: 5.3462 8.5404 13.3091 Å, 55.30 90.00 90.00°
Element x y z (fractional)
1 Pd 0.5000 0.5000 0.0000
2 Pd 0.0000 0.5000 0.5000
3 Pb 0.5558 0.1638 0.8048
4 Pb 0.0558 0.8362 0.6952
5 Pb 0.4442 0.8362 0.1952
6 Pb 0.9442 0.1638 0.3048
7 Se 0.0373 0.7883 0.9769
8 Se 0.5373 0.2117 0.5231
9 Se 0.9627 0.2117 0.0231
10 Se 0.4627 0.7883 0.4769
11 Cl 0.0712 0.4412 0.6909
12 Cl 0.5712 0.5588 0.8091
13 Cl 0.9288 0.5588 0.3091
14 Cl 0.4288 0.4412 0.1909
15 O 0.8783 0.9373 0.8400
16 O 0.3783 0.0627 0.6600
17 O 0.1217 0.0627 0.1600
18 O 0.6217 0.9373 0.3400
19 O 0.2007 0.6746 0.9200
20 O 0.7007 0.3254 0.5800
21 O 0.7993 0.3254 0.0800
22 O 0.2993 0.6746 0.4200
23 O 0.2638 0.9310 0.9779
24 O 0.7638 0.0690 0.5221
25 O 0.7362 0.0690 0.0221
26 O 0.2362 0.9310 0.4779


This record from the Materials Project database describes a relaxed SiPb7Cl2O8 crystal. The functional is PBE.

- Energy with MP2020 corrections: -103.4 eV per formula unit
- V: 374.67 Å³/cell
- ΔE_f: -1.597 eV per atom

Cell: 11.8125 11.8125 5.7170 Å, 90.00 90.00 151.99°
Element x y z (fractional)
1 Si 0.1439 0.8561 0.5000
2 Pb 0.9100 0.0900 0.0000
3 Pb 0.4096 0.5904 0.5000
4 Pb 0.5833 0.4167 0.5000
5 Pb 0.0833 0.9167 0.0000
6 Pb 0.6900 0.3100 0.0000
7 Pb 0.3049 0.6951 0.0000
8 Pb 0.8048 0.1952 0.5000
9 Cl 0.5280 0.4720 0.0000
10 Cl 0.0324 0.9676 0.5000
11 O 0.6063 0.8948 0.7502
12 O 0.1052 0.3937 0.2498
13 O 0.1052 0.3937 0.7502
14 O 0.6063 0.8948 0.2498
15 O 0.9314 0.6381 0.7154
16 O 0.3619 0.0686 0.2846
17 O 0.3619 0.0686 0.7154
18 O 0.9314 0.6381 0.2846


This record from the Materials Project database describes a relaxed Te2Pb3Cl2O6 crystal. The functional is PBE.

- Energy with MP2020 corrections: -70.0 eV per formula unit
- Relative energy among the computed polymorphs: 0.018 eV per atom
- V: 516.20 Å³/cell
- ΔE_f: -1.475 eV per atom

Cell: 8.8600 8.8600 11.1091 Å, 76.86 76.86 37.57°
Element x y z (fractional)
1 Te 0.3971 0.4005 0.0479
2 Te 0.8763 0.8726 0.5939
3 Te 0.1272 0.1244 0.4103
4 Te 0.5959 0.6101 0.9501
5 Pb 0.6686 0.6538 0.6098
6 Pb 0.7403 0.7380 0.1980
7 Pb 0.3433 0.3385 0.3925
8 Pb 0.9715 0.9856 0.2026
9 Pb 0.0290 0.0160 0.7975
10 Pb 0.2687 0.2520 0.7984
11 Cl 0.1787 0.1904 0.0971
12 Cl 0.5484 0.5358 0.2958
13 Cl 0.4660 0.4554 0.6982
14 Cl 0.8232 0.8082 0.9003
15 O 0.0267 0.5507 0.6191
16 O 0.9027 0.8937 0.4186
17 O 0.8646 0.4010 0.8107
18 O 0.9626 0.4594 0.3839
19 O 0.5966 0.1382 0.1886
20 O 0.5554 0.0229 0.6129
21 O 0.4028 0.8599 0.8188
22 O 0.1337 0.5994 0.1893
23 O 0.7229 0.2813 0.0011
24 O 0.1114 0.0984 0.5784
25 O 0.4475 0.9732 0.3809
26 O 0.2934 0.7103 0.9997


This record from the Materials Project database describes a relaxed TePb3Cl4O3 crystal. The functional is PBE.

- Energy with MP2020 corrections: -51.5 eV per formula unit
- V: 1066.17 Å³/cell
- ΔE_f: -1.363 eV per atom

Cell: 7.5750 8.6311 16.3071 Å, 90.00 90.00 90.00°
Element x y z (fractional)
1 Te 0.1542 0.0763 0.0206
2 Te 0.8458 0.5763 0.9794
3 Te 0.3458 0.5763 0.5206
4 Te 0.6542 0.0763 0.4794
5 Pb 0.7075 0.1480 0.9769
6 Pb 0.2925 0.6480 0.0231
7 Pb 0.7925 0.6480 0.4769
8 Pb 0.2075 0.1480 0.5231
9 Pb 0.9527 0.8689 0.1886
10 Pb 0.0473 0.3689 0.8114
11 Pb 0.5473 0.3689 0.6886
12 Pb 0.4527 0.8689 0.3114
13 Pb 0.9401 0.3634 0.1836
14 Pb 0.0599 0.8634 0.8164
15 Pb 0.5599 0.8634 0.6836
16 Pb 0.4401 0.3634 0.3164
17 Cl 0.6029 0.3729 0.1051
18 Cl 0.3971 0.8729 0.8949
19 Cl 0.8971 0.8729 0.6051
20 Cl 0.1029 0.3729 0.3949
21 Cl 0.6334 0.8615 0.0987
22 Cl 0.3666 0.3615 0.9013
23 Cl 0.8666 0.3615 0.5987
24 Cl 0.1334 0.8615 0.4013
25 Cl 0.7530 0.6178 0.2838
26 Cl 0.2470 0.1178 0.7162
27 Cl 0.7470 0.1178 0.7838
28 Cl 0.2530 0.6178 0.2162
29 Cl 0.7544 0.1143 0.2825
30 Cl 0.2456 0.6143 0.7175
31 Cl 0.7456 0.6143 0.7825
32 Cl 0.2544 0.1143 0.2175
33 O 0.9537 0.1489 0.0814
34 O 0.0463 0.6489 0.9186
35 O 0.5463 0.6489 0.5814
36 O 0.4537 0.1489 0.4186
37 O 0.0116 0.0517 0.9254
38 O 0.9884 0.5517 0.0746
39 O 0.4884 0.5517 0.4254
40 O 0.5116 0.0517 0.5746
41 O 0.1330 0.8722 0.0631
42 O 0.8670 0.3722 0.9369
43 O 0.3670 0.3722 0.5631
44 O 0.6330 0.8722 0.4369


This record from the Materials Project database describes a relaxed TePb3Cl2O4 crystal. The functional is PBE.

- Energy with MP2020 corrections: -52.6 eV per formula unit
- Largest piezoelectric modulus: 1.2 C/m²
- V: 204.32 Å³/cell
- ΔE_f: -1.480 eV per atom

Cell: 7.0061 7.0061 5.6370 Å, 90.00 90.00 132.40°
Element x y z (fractional)
1 Te 0.0699 0.9301 0.5000
2 Pb 0.6122 0.3878 0.0000
3 Pb 0.3919 0.6081 0.5000
4 Pb 0.8981 0.1019 0.0000
5 Cl 0.2566 0.7434 0.0000
6 Cl 0.7478 0.2522 0.5000
7 O 0.7739 0.7621 0.2676
8 O 0.7739 0.7621 0.7324
9 O 0.2379 0.2261 0.2676
10 O 0.2379 0.2261 0.7324


This record from the Materials Project database describes a relaxed Te2Pb3Cl2O6 crystal. The functional is PBE.

- Energy with MP2020 corrections: -70.2 eV per formula unit
- Relative energy among the computed polymorphs: 0.000 eV per atom
- V: 516.20 Å³/cell
- ΔE_f: -1.493 eV per atom

Cell: 8.8600 8.8600 11.1091 Å, 76.86 76.86 37.57°
Element x y z (fractional)
1 Te 0.3974 0.3974 0.0524
2 Te 0.8717 0.8717 0.5931
3 Te 0.1283 0.1283 0.4069
4 Te 0.6026 0.6026 0.9476
5 Pb 0.6620 0.6620 0.6074
6 Pb 0.7388 0.7388 0.2025
7 Pb 0.3380 0.3380 0.3926
8 Pb 0.9789 0.9789 0.1999
9 Pb 0.0211 0.0211 0.8001
10 Pb 0.2612 0.2612 0.7975
11 Cl 0.1828 0.1828 0.0999
12 Cl 0.5412 0.5412 0.2990
13 Cl 0.4588 0.4588 0.7010
14 Cl 0.8172 0.8172 0.9001
15 O 0.5497 0.0308 0.6149
16 O 0.8957 0.8957 0.4185
17 O 0.3982 0.8662 0.8152
18 O 0.4503 0.9692 0.3851
19 O 0.1338 0.6018 0.1848
20 O 0.0308 0.5497 0.6149
21 O 0.8662 0.3982 0.8152
22 O 0.6018 0.1338 0.1848
23 O 0.2845 0.7155 0.0000
24 O 0.1043 0.1043 0.5815
25 O 0.9692 0.4503 0.3851
26 O 0.7155 0.2845 0.0000


This record from the Materials Project database describes a relaxed PrClO crystal. The functional is PBE.

- Energy with MP2020 corrections: -21.3 eV per formula unit
- V: 116.10 Å³/cell
- ΔE_f: -3.254 eV per atom

Cell: 4.1076 4.1076 6.8812 Å, 90.00 90.00 90.00°
Element x y z (fractional)
1 Pr 0.5000 0.0000 0.8263
2 Pr 0.0000 0.5000 0.1737
3 Cl 0.0000 0.5000 0.6275
4 Cl 0.5000 0.0000 0.3725
5 O 0.0000 0.0000 0.0000
6 O 0.5000 0.5000 0.0000


This record from the Materials Project database describes a relaxed PrSClO4 crystal. The functional is PBE.

- Energy with MP2020 corrections: -48.5 eV per formula unit
- V: 437.87 Å³/cell
- ΔE_f: -2.557 eV per atom

Cell: 8.1462 6.7694 8.6866 Å, 66.08 90.00 90.00°
Element x y z (fractional)
1 Pr 0.3080 0.3823 0.7293
2 Pr 0.6920 0.6177 0.2707
3 Pr 0.1920 0.3823 0.2293
4 Pr 0.8080 0.6177 0.7707
5 S 0.5812 0.2229 0.0679
6 S 0.4188 0.7771 0.9321
7 S 0.0812 0.7771 0.4321
8 S 0.9188 0.2229 0.5679
9 Cl 0.4632 0.2735 0.4697
10 Cl 0.0368 0.2735 0.9697
11 Cl 0.9632 0.7265 0.0303
12 Cl 0.5368 0.7265 0.5303
13 O 0.1511 0.9949 0.3709
14 O 0.6831 0.3655 0.1222
15 O 0.8489 0.0051 0.6291
16 O 0.9136 0.3262 0.3763
17 O 0.0930 0.2164 0.6185
18 O 0.8169 0.3655 0.6222
19 O 0.5864 0.3262 0.8763
20 O 0.1831 0.6345 0.3778
21 O 0.3489 0.9949 0.8709
22 O 0.4070 0.2164 0.1185
23 O 0.5930 0.7836 0.8815
24 O 0.6511 0.0051 0.1291
25 O 0.0864 0.6738 0.6237
26 O 0.3169 0.6345 0.8778
27 O 0.4136 0.6738 0.1237
28 O 0.9070 0.7836 0.3815


This record from the Materials Project database describes a relaxed Pr3Si2Cl3O7 crystal. The functional is PBE.

- Energy with MP2020 corrections: -114.2 eV per formula unit
- V: 490.94 Å³/cell
- ΔE_f: -3.258 eV per atom

Cell: 12.2195 5.3617 7.9149 Å, 71.22 90.00 90.00°
Element x y z (fractional)
1 Pr 0.1025 0.7058 0.4694
2 Pr 0.1241 0.9677 0.9207
3 Pr 0.6241 0.0323 0.0793
4 Pr 0.3782 0.5531 0.7972
5 Pr 0.8782 0.4469 0.2028
6 Pr 0.6025 0.2942 0.5306
7 Si 0.1763 0.3869 0.1825
8 Si 0.7887 0.7884 0.4356
9 Si 0.6763 0.6131 0.8175
10 Si 0.2887 0.2116 0.5644
11 Cl 0.5052 0.8449 0.4428
12 Cl 0.5089 0.4573 0.1676
13 Cl 0.8821 0.9879 0.9919
14 Cl 0.0052 0.1551 0.5572
15 Cl 0.3821 0.0121 0.0081
16 Cl 0.0089 0.5427 0.8324
17 O 0.9151 0.7269 0.4024
18 O 0.5729 0.4198 0.8034
19 O 0.2521 0.9018 0.6215
20 O 0.6394 0.9101 0.8084
21 O 0.7380 0.4402 0.9992
22 O 0.7199 0.6520 0.3066
23 O 0.2199 0.3480 0.6934
24 O 0.7485 0.6166 0.6389
25 O 0.7521 0.0982 0.3785
26 O 0.2485 0.3834 0.3611
27 O 0.0729 0.5802 0.1966
28 O 0.1394 0.0899 0.1916
29 O 0.2380 0.5598 0.0008
30 O 0.4151 0.2731 0.5976


This record from the Materials Project database describes a relaxed Pr3TaCl3O6 crystal. The functional is PBE.

- Energy with MP2020 corrections: -102.3 eV per formula unit
- V: 423.67 Å³/cell
- ΔE_f: -3.141 eV per atom

Cell: 9.5574 9.5574 5.3557 Å, 90.00 90.00 120.00°
Element x y z (fractional)
1 Pr 0.9098 0.5968 0.7500
2 Pr 0.0902 0.4032 0.2500
3 Pr 0.6870 0.0902 0.7500
4 Pr 0.3130 0.9098 0.2500
5 Pr 0.4032 0.3130 0.7500
6 Pr 0.5968 0.6870 0.2500
7 Ta 0.3333 0.6667 0.7500
8 Ta 0.6667 0.3333 0.2500
9 Cl 0.7599 0.8100 0.7500
10 Cl 0.2401 0.1900 0.2500
11 Cl 0.0501 0.2401 0.7500
12 Cl 0.9499 0.7599 0.2500
13 Cl 0.1900 0.9499 0.7500
14 Cl 0.8100 0.0501 0.2500
15 O 0.4778 0.8420 0.9864
16 O 0.5222 0.1580 0.0136
17 O 0.3641 0.5222 0.9864
18 O 0.5222 0.1580 0.4864
19 O 0.6359 0.4778 0.0136
20 O 0.4778 0.8420 0.5136
21 O 0.1580 0.6359 0.9864
22 O 0.6359 0.4778 0.4864
23 O 0.8420 0.3641 0.0136
24 O 0.3641 0.5222 0.5136
25 O 0.8420 0.3641 0.4864
26 O 0.1580 0.6359 0.5136


This record from the Materials Project database describes a relaxed Pr3TiCl5O4 crystal. The functional is PBE.

- Energy with MP2020 corrections: -90.2 eV per formula unit
- V: 1006.74 Å³/cell
- ΔE_f: -2.994 eV per atom

Cell: 4.0739 14.6921 16.8198 Å, 90.00 90.00 90.00°
Element x y z (fractional)
1 Pr 0.2500 0.2611 0.1298
2 Pr 0.7500 0.7389 0.8702
3 Pr 0.7500 0.7611 0.3702
4 Pr 0.2500 0.2389 0.6298
5 Pr 0.2500 0.0843 0.3792
6 Pr 0.7500 0.9157 0.6208
7 Pr 0.7500 0.5843 0.1208
8 Pr 0.2500 0.4157 0.8792
9 Pr 0.2500 0.5808 0.6205
10 Pr 0.7500 0.4192 0.3795
11 Pr 0.7500 0.0808 0.8795
12 Pr 0.2500 0.9192 0.1205
13 Ti 0.2500 0.5895 0.2914
14 Ti 0.7500 0.4105 0.7086
15 Ti 0.7500 0.0895 0.2086
16 Ti 0.2500 0.9105 0.7914
17 Cl 0.2500 0.7158 0.0213
18 Cl 0.7500 0.2842 0.9787
19 Cl 0.7500 0.2158 0.4787
20 Cl 0.2500 0.7842 0.5213
21 Cl 0.2500 0.0966 0.0163
22 Cl 0.7500 0.9034 0.9837
23 Cl 0.7500 0.5966 0.4837
24 Cl 0.2500 0.4034 0.5163
25 Cl 0.2500 0.8994 0.2979
26 Cl 0.7500 0.1006 0.7021
27 Cl 0.7500 0.3994 0.2021
28 Cl 0.2500 0.6006 0.7979
29 Cl 0.2500 0.2747 0.3205
30 Cl 0.7500 0.7253 0.6795
31 Cl 0.7500 0.7747 0.1795
32 Cl 0.2500 0.2253 0.8205
33 Cl 0.2500 0.4429 0.0542
34 Cl 0.7500 0.5571 0.9458
35 Cl 0.7500 0.9429 0.4458
36 Cl 0.2500 0.0571 0.5542
37 O 0.2500 0.0914 0.2084
38 O 0.7500 0.9086 0.7916
39 O 0.7500 0.5914 0.2916
40 O 0.2500 0.4086 0.7084
41 O 0.2500 0.6990 0.3457
42 O 0.7500 0.3010 0.6543
43 O 0.7500 0.1990 0.1543
44 O 0.2500 0.8010 0.8457
45 O 0.2500 0.5900 0.1816
46 O 0.7500 0.4100 0.8184
47 O 0.7500 0.0900 0.3184
48 O 0.2500 0.9100 0.6816
49 O 0.2500 0.4816 0.3483
50 O 0.7500 0.5184 0.6517
51 O 0.7500 0.9816 0.1517
52 O 0.2500 0.0184 0.8483


This record from the Materials Project database describes a relaxed Pu2Cl2O crystal. The functional is PBE.

- Energy with MP2020 corrections: -43.9 eV per formula unit
- V: 164.02 Å³/cell
- ΔE_f: -1.345 eV per atom

Cell: 3.6061 3.6061 12.6135 Å, 90.00 90.00 90.00°
Element x y z (fractional)
1 Pu 0.5000 0.5000 0.1639
2 Pu 0.5000 0.5000 0.8361
3 Cl 0.5000 0.5000 0.6391
4 Cl 0.5000 0.5000 0.3609
5 O 0.5000 0.5000 0.0000


The lowest ΔE_f belongs to which entry?
Pr3Si2Cl3O7